Arrangement one

! Li4Fe3Ni3Sb2O16, optimized geometry, DFT PBE+U; values from VASP
! magnetization: 0.643 μB per atom
! calculated density: 5.0 g cm⁻³
&SYSTEM
  ibrav = 0, nat = 28, ntyp = 5
/
ATOMIC_SPECIES
Li 6.94 Li.upf
Fe 55.84 Fe.upf
Ni 58.69 Ni.upf
Sb 121.76 Sb.upf
O 16.00 O.upf
ATOMIC_POSITIONS angstrom
Li 0.0000 0.0000 0.0000
Li -0.1080 0.0000 4.7937
Li 3.4136 0.0000 0.8464
Li 6.6670 0.0000 5.6164
Fe 4.0345 1.3938 7.4516
Fe 4.0345 -1.3938 7.4516
Fe 8.3921 0.0000 2.6342
Ni 1.5941 0.0000 7.4573
Ni 5.9260 1.4127 2.6286
Ni 5.9260 -1.4127 2.6286
Sb 3.2690 0.0000 4.7870
Sb 6.7821 0.0000 0.0022
O 2.5280 1.3218 6.1806
O 4.1198 1.4872 3.7428
O 1.5402 0.0000 3.7716
O 5.6709 1.4627 8.5905
O 3.2870 0.0000 8.4785
O 4.8094 0.0000 6.1028
O 2.5280 -1.3218 6.1806
O 5.2681 0.0000 1.4011
O 7.5638 1.3030 1.3555
O 4.1198 -1.4872 3.7428
O 6.7869 0.0000 3.5897
O 5.6709 -1.4627 8.5905
O 8.2450 0.0000 8.5971
O 7.5638 -1.3030 1.3555
O 9.9731 0.0000 6.6841
O 10.0974 0.0000 1.8613
CELL_PARAMETERS angstrom
5.0972 -2.9228 0.0000
5.0972 2.9228 0.0000
-0.2363 0.0000 9.6409

***

Arrangement two

! Li4Fe3Ni3Sb2O16, optimized geometry, DFT PBE+U; values from VASP
! magnetization: 0.643 μB per atom
! calculated density: 4.9 g cm⁻³
&SYSTEM
  ibrav = 0, nat = 28, ntyp = 5
/
ATOMIC_SPECIES
Li 6.94 Li.upf
Fe 55.84 Fe.upf
Ni 58.69 Ni.upf
Sb 121.76 Sb.upf
O 16.00 O.upf
ATOMIC_POSITIONS angstrom
Li 0.0000 0.0000 0.0000
Li 2.9201 5.1586 4.8809
Li 2.9404 1.7853 5.7187
Li 5.8984 3.4648 0.8391
Fe 1.4900 0.9233 2.6876
Fe 4.3995 0.9212 2.6992
Fe 5.9218 1.8347 7.5296
Ni 2.9333 3.4301 2.6937
Ni 4.4359 4.3483 7.5535
Ni 7.3445 4.3659 7.5516
Sb 2.9539 1.7282 0.0294
Sb 5.8717 3.5059 4.9196
O 2.9397 5.1704 6.7208
O 1.6163 2.5034 1.3912
O 1.4791 1.0215 8.7007
O 2.9831 3.5950 8.7074
O 4.3943 4.3615 3.8499
O 2.9378 1.7606 3.7128
O 2.9388 0.2004 1.4078
O 4.2909 2.4800 1.3804
O 5.8236 5.0385 6.2978
O 4.5772 2.6798 6.2425
O 5.8965 3.5822 8.4992
O 4.4541 0.9755 8.6835
O 7.3384 4.3744 3.8666
O 5.9042 1.7811 3.8419
O 7.2316 2.7508 6.2588
O 8.8244 5.1589 1.8332
CELL_PARAMETERS angstrom
5.9079 0.0000 0.0000
2.9228 5.1437 0.0000
0.0208 0.1224 9.7030

***

Name the most stable of them. arrangement two.

***

Arrangement one

! Li4TiV3O8, optimized geometry, DFT PBE+U; values from VASP
! magnetization: 0.437 μB per atom
! calculated density: 3.9 g cm⁻³
&SYSTEM
  ibrav = 0, nat = 16, ntyp = 4
/
ATOMIC_SPECIES
Li 6.94 Li.upf
Ti 47.87 Ti.upf
V 50.94 V.upf
O 16.00 O.upf
ATOMIC_POSITIONS angstrom
Li 0.0000 0.0000 0.0000
Li -1.4967 -0.8403 4.9069
Li 0.0456 5.1708 0.0067
Li 1.5012 -0.8380 4.8945
Ti 1.4942 0.8874 2.4528
V -1.4921 0.8874 2.4532
V -0.0161 -1.7025 2.4499
V 2.9695 -1.7042 2.4521
O -1.6136 4.0709 1.3233
O -0.1734 1.5676 1.3293
O 0.0687 0.1602 3.5853
O 1.5017 -2.3520 3.5944
O 2.9136 1.5986 1.3270
O 1.4908 4.1337 1.3076
O 3.1609 0.2067 3.5783
O 4.6006 -2.2938 3.5811
CELL_PARAMETERS angstrom
5.9651 0.0000 0.0000
-2.9409 5.1916 0.0000
-0.0436 -3.4465 4.9098

***

Arrangement two

! Li4TiV3O8, optimized geometry, DFT PBE+U; values from VASP
! magnetization: 0.437 μB per atom
! calculated density: 3.9 g cm⁻³
&SYSTEM
  ibrav = 0, nat = 16, ntyp = 4
/
ATOMIC_SPECIES
Li 6.94 Li.upf
Ti 47.87 Ti.upf
V 50.94 V.upf
O 16.00 O.upf
ATOMIC_POSITIONS angstrom
Li 0.0000 0.0000 0.0000
Li 2.5772 1.5020 0.0000
Li 2.5772 -1.5020 0.0000
Li 5.1543 0.0000 0.0000
Ti -1.7286 0.0000 2.4549
V 0.8486 1.5020 2.4549
V 0.8486 -1.5020 2.4549
V 3.4257 0.0000 2.4549
O 2.5568 1.5482 3.5832
O -0.0915 0.0000 3.5965
O 1.6424 0.0000 1.3314
O 4.2947 1.5482 1.3266
O 2.5568 -1.5482 3.5832
O 5.2091 0.0000 3.5784
O 6.9430 0.0000 1.3133
O 4.2947 -1.5482 1.3266
CELL_PARAMETERS angstrom
5.1543 -3.0041 0.0000
5.1543 3.0041 0.0000
-3.4572 0.0000 4.9098

***

Name the most stable of them. arrangement two.

***

Arrangement one

! MgV4O10, optimized geometry, DFT PBE+U; values from VASP
! magnetization: 0.133 μB per atom
! calculated density: 3.2 g cm⁻³
&SYSTEM
  ibrav = 0, nat = 15, ntyp = 3
/
ATOMIC_SPECIES
Mg 24.30 Mg.upf
V 50.94 V.upf
O 16.00 O.upf
ATOMIC_POSITIONS angstrom
Mg 0.0000 0.0000 0.0000
V 0.0000 4.0703 3.8606
V 0.0000 7.5056 3.8606
V 1.7693 1.7293 2.8967
V 1.7693 9.8466 2.8967
O 0.0000 2.0041 3.6597
O 0.0000 4.1824 0.5048
O 0.0000 5.7880 3.2897
O 0.0000 7.3935 0.5048
O 0.0000 9.5719 3.6597
O 1.7693 0.0000 3.8260
O 1.7693 1.3350 1.2623
O 1.7693 3.7059 3.2675
O 1.7693 7.8700 3.2675
O 1.7693 10.2409 1.2623
CELL_PARAMETERS angstrom
3.5387 0.0000 0.0000
0.0000 11.5759 0.0000
0.0000 0.0000 4.9592

***

Arrangement two

! MgV4O10, optimized geometry, DFT PBE+U; values from VASP
! magnetization: 0.133 μB per atom
! calculated density: 3.0 g cm⁻³
&SYSTEM
  ibrav = 0, nat = 15, ntyp = 3
/
ATOMIC_SPECIES
Mg 24.30 Mg.upf
V 50.94 V.upf
O 16.00 O.upf
ATOMIC_POSITIONS angstrom
Mg 0.0000 0.0000 0.0000
V 1.6915 0.0000 3.1489
V 3.9777 0.0000 9.2458
V 7.3566 0.0000 9.2458
V 9.6428 0.0000 3.1489
O 0.0000 0.0000 4.2150
O 1.3598 0.0000 1.5164
O 1.9597 0.0000 8.9661
O 3.6181 0.0000 3.5911
O 4.1684 0.0000 0.5045
O 5.6672 0.0000 8.5749
O 7.1659 0.0000 0.5045
O 7.7162 0.0000 3.5911
O 9.3746 0.0000 8.9661
O 9.9745 0.0000 1.5164
CELL_PARAMETERS angstrom
11.3343 0.0000 0.0000
0.0000 1.8326 5.1655
0.0000 -1.8326 5.1655

***

Name the most stable of them. arrangement two.

***

Arrangement one

! Li2MnOF3, optimized geometry, DFT PBE+U; values from VASP
! magnetization: 0.000 μB per atom
! calculated density: 3.2 g cm⁻³
&SYSTEM
  ibrav = 0, nat = 28, ntyp = 4
/
ATOMIC_SPECIES
Mn 54.94 Mn.upf
F 19.00 F.upf
Li 6.94 Li.upf
O 16.00 O.upf
ATOMIC_POSITIONS angstrom
Mn 5.6443 0.0566 5.0470
Mn 2.8237 5.1962 2.7014
Mn 2.7614 0.0589 4.9780
Mn -0.0582 5.1969 2.6306
F 5.6754 3.2945 3.8076
F 1.4095 4.3831 1.5323
F 2.8493 1.9096 1.2678
F 1.4128 9.5162 1.0552
F 2.7936 8.4329 3.9419
F 4.2957 9.5162 1.1259
F 5.7325 1.9089 1.3387
F 2.8565 7.0470 1.3872
F 4.2929 4.3829 1.6032
F 2.7923 3.2939 3.7367
F -0.0903 8.4312 3.8709
F -0.0266 7.0477 1.3164
Li 4.2691 7.9285 2.6634
Li 4.1997 2.7914 5.0843
Li 4.2081 7.2714 5.1130
Li 1.3872 7.9291 2.5929
Li 1.3256 7.2734 5.0426
Li 4.2609 2.1337 2.6355
Li 1.3771 2.1336 2.5647
Li 1.3151 2.7907 5.0135
O 4.2440 5.9843 3.6470
O 4.2250 0.8448 4.1029
O 1.3610 5.9842 3.5762
O 1.3417 0.8444 4.0325
CELL_PARAMETERS angstrom
-0.1202 0.0012 5.0233
5.7662 -0.0002 0.1415
-0.0003 10.2741 0.0025

***

Arrangement two

! Li2MnOF3, optimized geometry, DFT PBE+U; values from VASP
! magnetization: 0.000 μB per atom
! calculated density: 3.1 g cm⁻³
&SYSTEM
  ibrav = 0, nat = 28, ntyp = 4
/
ATOMIC_SPECIES
Li 6.94 Li.upf
Mn 54.94 Mn.upf
O 16.00 O.upf
F 19.00 F.upf
ATOMIC_POSITIONS angstrom
Li 4.3064 0.1472 3.0805
Li 1.4780 2.4497 1.7899
Li 1.1817 0.1637 6.5727
Li 4.2123 0.1637 6.5890
Li 0.9794 2.4662 7.8468
Li 4.5087 2.4497 1.8063
Li 4.0100 2.4662 7.8631
Li 1.2758 0.1472 3.0641
Mn 5.7402 2.7063 4.9468
Mn 3.0059 5.1340 0.1477
Mn 2.7095 2.7061 4.9303
Mn 6.0364 5.1341 0.1641
O 1.0593 2.0342 5.9111
O 4.3863 0.5792 1.1448
O 4.0898 2.0342 5.9274
O 1.3555 0.5791 1.1284
F 2.7887 1.2318 3.4839
F 1.3555 3.5262 3.6906
F 3.0047 3.3494 1.1251
F 4.3862 3.5261 3.7070
F 4.0897 4.3141 8.4896
F 5.5230 1.3816 8.2829
F 1.0592 4.3141 8.4732
F 2.7083 4.4908 5.9077
F 2.4923 1.3815 8.2666
F -0.0260 3.3494 1.1087
F 5.8194 1.2318 3.5003
F -0.3224 4.4907 5.8911
CELL_PARAMETERS angstrom
0.0000 5.2269 0.0000
-0.5927 -0.0001 9.5653
6.0613 0.0000 0.0327

***

Name the most stable of them. arrangement one.

***

Arrangement one

! Mn4O7F, optimized geometry, DFT PBE+U; values from VASP
! magnetization: 1.083 μB per atom
! calculated density: 4.7 g cm⁻³
&SYSTEM
  ibrav = 0, nat = 12, ntyp = 3
/
ATOMIC_SPECIES
Mn 54.94 Mn.upf
O 16.00 O.upf
F 19.00 F.upf
ATOMIC_POSITIONS angstrom
Mn 0.0000 0.0000 0.0000
Mn 0.1045 2.4016 3.8196
Mn 2.3466 4.8784 2.7588
Mn 2.3624 2.3802 1.2044
O 1.1906 0.8025 4.0979
O 1.2829 0.7773 1.3436
O 1.3172 3.2538 2.5737
O 3.3662 1.5285 2.5613
O 3.3880 4.0474 1.3449
O 3.5932 4.0605 4.0987
O 3.6222 1.5895 5.3475
F 1.2671 3.3010 5.3873
CELL_PARAMETERS angstrom
4.4835 0.0000 0.0000
0.0067 4.9751 0.0000
0.1372 0.0034 5.5188

***

Arrangement two

! Mn4O7F, optimized geometry, DFT PBE+U; values from VASP
! magnetization: 1.083 μB per atom
! calculated density: 4.8 g cm⁻³
&SYSTEM
  ibrav = 0, nat = 24, ntyp = 3
/
ATOMIC_SPECIES
Mn 54.94 Mn.upf
O 16.00 O.upf
F 19.00 F.upf
ATOMIC_POSITIONS angstrom
Mn 0.0000 0.0000 0.0000
Mn 2.5414 1.5230 4.3583
Mn 4.9765 2.7188 2.2306
Mn 2.4304 -1.0847 2.1670
Mn 4.9829 -0.0398 0.0000
Mn 7.4117 1.5230 0.1029
Mn 4.9765 -2.7692 2.2306
Mn 7.5227 -1.0846 2.2942
O 4.1303 4.1388 1.1971
O 3.3448 2.8811 3.2331
O 1.6407 0.2019 1.0014
O 5.8228 4.1388 3.2640
O 4.1260 1.3692 1.0179
O 3.3582 0.1470 3.3874
O 6.6083 2.8810 1.2281
O 5.8271 1.3692 3.4432
O 4.0953 -1.3495 1.1982
O 6.5949 0.1470 1.0738
O 5.8578 -1.3495 3.2630
O 4.1071 -4.0954 1.0471
O 8.3123 0.2019 3.4598
O 5.8460 -4.0954 3.4140
F 3.2208 -2.5810 3.3897
F 6.7323 -2.5810 1.0714
CELL_PARAMETERS angstrom
4.9829 -5.4700 0.0000
4.9829 5.4700 0.0000
-0.0127 0.0000 4.4612

***

Name the most stable of them. arrangement two.

***

Arrangement one

! MgNiP2O7, optimized geometry, DFT PBE+U; values from VASP
! magnetization: 0.000 μB per atom
! calculated density: 3.4 g cm⁻³
&SYSTEM
  ibrav = 0, nat = 44, ntyp = 4
/
ATOMIC_SPECIES
P 30.97 P.upf
O 16.00 O.upf
Mg 24.30 Mg.upf
Ni 58.69 Ni.upf
ATOMIC_POSITIONS angstrom
P -1.6564 6.1399 -0.4500
P -0.4363 5.0928 3.6931
P 0.9514 10.9979 7.0736
P -3.9783 6.4002 5.3389
P -2.2796 10.0723 1.8972
P -1.0588 9.0251 6.0399
P -3.6660 4.1676 -1.4821
P 1.2634 8.7644 0.2511
O -0.1393 9.8475 7.1241
O -1.1887 11.2224 1.8462
O -2.0467 10.0218 5.4580
O -1.4838 2.4626 1.6915
O -2.5758 5.3181 -1.5339
O -0.1504 5.4400 5.1527
O -4.9228 4.6441 -0.7161
O -1.7096 8.8605 2.6591
O -1.2314 12.7023 3.8987
O -0.6694 5.1423 0.1324
O -3.4335 4.1182 2.0776
O 0.6000 7.7188 1.1897
O -4.8859 9.9832 6.2272
O -3.5356 10.5489 2.6643
O 2.1717 5.1796 -0.6354
O -2.6192 6.7973 0.5183
O -1.0061 6.3047 2.9312
O -3.0946 2.9581 -0.7163
O -0.9946 7.1863 -1.3883
O 2.2077 10.5216 6.3061
O 0.3815 12.2098 6.3112
O -2.5650 9.7251 0.4376
O 0.7182 11.0467 3.5130
O -1.5268 3.9424 3.7441
O -0.0961 8.3678 5.0722
O -3.3154 7.4461 4.4007
O -1.7203 7.9787 6.9785
O 0.8197 4.6142 2.9267
Mg -3.7754 9.5591 4.5495
Mg -1.4533 9.2995 -1.2385
Mg -1.2614 5.8647 6.8289
Mg 1.0596 5.6056 1.0405
Ni -1.2690 2.1564 -0.2372
Ni -1.4427 13.0121 5.8254
Ni -2.8352 7.1013 2.4445
Ni 0.1170 8.0651 3.1446
CELL_PARAMETERS angstrom
-5.4900 3.3550 -1.1697
-0.9346 6.1656 9.1684
3.7095 5.6446 -2.4082

***

Arrangement two

! MgNiP2O7, optimized geometry, DFT PBE+U; values from VASP
! magnetization: 0.182 μB per atom
! calculated density: 3.4 g cm⁻³
&SYSTEM
  ibrav = 0, nat = 11, ntyp = 4
/
ATOMIC_SPECIES
Mg 24.30 Mg.upf
Ni 58.69 Ni.upf
P 30.97 P.upf
O 16.00 O.upf
ATOMIC_POSITIONS angstrom
Mg 0.0000 0.0000 0.0000
Ni 2.8494 -1.1320 2.1953
P 1.8334 1.7968 0.4517
P 3.8655 1.7968 3.9389
O 3.3406 2.2642 0.0000
O 1.8237 0.3986 1.0802
O 0.8994 -1.3172 3.0754
O 3.8752 0.3986 3.3105
O 2.2906 -2.6566 0.8695
O 4.7995 -1.3172 1.3153
O 3.4083 -2.6566 3.5211
CELL_PARAMETERS angstrom
3.3406 -4.3035 0.0000
3.3406 4.3035 0.0000
-0.9824 0.0000 4.3907

***

Name the most stable of them. arrangement one.